1.
Li4Fe3CoO8: optimized geometry, GGA+U.

Properties
Energy of formation: -1.8850 eV/atom
Corrected total energy (MP2020 scheme): -6.87 eV/atom

```
16
Lattice="5.1722 -2.9460 0.0000 5.1722 2.9460 0.0000 -1.6904 0.0000 4.8102" Properties=species:S:1:pos:R:3 pbc="T T T"
Li 2.5861 1.4730 0.0000
Li 1.7446 0.0000 2.2812
Li 2.5861 -1.4730 0.0000
Li 6.9093 0.0000 2.5290
Fe 4.3269 1.4943 2.4051
Fe 5.1722 0.0000 0.0000
Fe 4.3269 -1.4943 2.4051
Co 0.0000 0.0000 0.0000
O -0.1124 0.0000 3.6308
O 2.7203 1.5284 3.6699
O 5.9336 1.5284 1.1404
O 3.5382 0.0000 1.2424
O 5.1157 0.0000 3.5678
O 2.7203 -1.5284 3.6699
O 5.9336 -1.5284 1.1404
O 8.7663 0.0000 1.1794
```



2.
LiFe2Co2O8: optimized geometry, GGA+U.

Properties
Energy of formation: -1.3567 eV/atom
Corrected total energy (MP2020 scheme): -6.95 eV/atom

```
13
Lattice="5.0640 -2.8642 0.0000 5.0640 2.8642 0.0000 -3.4814 0.0000 4.8386" Properties=species:S:1:pos:R:3 pbc="T T T"
Li 0.0000 0.0000 0.0000
Fe 5.0640 0.0000 0.0000
Fe 3.3233 0.0000 2.4193
Co 2.5320 1.4321 0.0000
Co 2.5320 -1.4321 0.0000
O 4.0991 1.3411 1.0470
O 1.8244 0.0000 1.0384
O -0.2034 0.0000 3.8556
O 2.5476 1.3411 3.7917
O 4.0991 -1.3411 1.0470
O 6.8500 0.0000 0.9830
O 4.8222 0.0000 3.8002
O 2.5476 -1.3411 3.7917
```



3.
Li3FeCo3O8: optimized geometry, GGA+U.

Properties
Energy of formation: -1.5747 eV/atom
Corrected total energy (MP2020 scheme): -6.58 eV/atom

```
15
Lattice="2.9485 1.7023 4.9075 -2.9485 1.7023 4.9075 0.0000 -3.4046 4.9075" Properties=species:S:1:pos:R:3 pbc="T T T"
Li -1.4742 -0.8512 4.9075
Li -1.4742 0.8512 9.8150
Li 0.0000 1.7023 4.9075
Fe 0.0000 0.0000 7.3613
Co -2.9485 0.0000 7.3613
Co -1.4742 0.8512 2.4538
Co 1.4742 0.8512 2.4538
O 0.0000 0.0000 3.5992
O -1.4375 -0.8299 8.4228
O 0.0000 -1.6599 6.2998
O -1.4375 0.8299 6.2998
O 1.4375 -0.8299 8.4228
O 0.0000 1.6599 8.4228
O 1.4375 0.8299 6.2998
O 0.0000 0.0000 11.1234
```



4.
Li4Fe3CoO8: optimized geometry, GGA+U.

Properties
Energy of formation: -1.8702 eV/atom
Corrected total energy (MP2020 scheme): -6.85 eV/atom

```
32
Lattice="5.9676 0.0000 0.0000 0.0091 5.9896 0.0000 0.0025 0.0657 8.3391" Properties=species:S:1:pos:R:3 pbc="T T T"
Li 0.0000 0.0000 0.0000
Li 0.0062 3.0280 4.1637
Li 1.4842 1.5568 6.2559
Li 1.5038 4.5105 2.0714
Li 2.9846 0.0007 0.0016
Li 2.9903 3.0296 4.1676
Li 4.4806 1.5416 6.2632
Li 4.4911 4.4971 2.0788
Fe 0.0128 6.0169 4.1635
Fe 1.4918 1.5135 2.0762
Fe 1.4985 4.5406 6.2671
Fe 2.9939 3.0535 8.3379
Fe 4.4818 1.5110 2.0768
Fe 4.4899 4.5368 6.2641
Co 0.0060 2.9927 0.0017
Co 2.9862 0.0363 4.1705
O 5.9770 5.9410 6.2106
O 0.0041 0.1026 2.1200
O 0.0103 3.1141 6.4066
O 1.4712 1.4601 4.1117
O 1.4791 4.5961 4.2336
O 1.5126 4.4729 8.2835
O 1.5107 1.5764 0.0505
O 2.9854 2.9154 2.0317
O 2.9874 0.0866 2.1915
O 2.9940 5.9624 6.1270
O 2.9942 3.1390 6.2978
O 4.4624 1.5731 0.0509
O 4.4779 4.4700 8.2826
O 4.5032 1.4622 4.1083
O 4.5096 4.5976 4.2290
O 5.9695 2.9316 1.9351
```



5.
Li6Fe5CoO12: optimized geometry, GGA+U.

Properties
Energy of formation: -1.8668 eV/atom
Corrected total energy (MP2020 scheme): -6.88 eV/atom

```
24
Lattice="2.5434 -4.4164 0.0000 2.5434 4.4164 0.0000 -1.4738 0.0000 9.9953" Properties=species:S:1:pos:R:3 pbc="T T T"
Li 0.9219 2.9865 7.4163
Li 2.6911 2.9865 2.5790
Li 0.8408 0.0000 7.4134
Li 2.7723 0.0000 2.5818
Li 0.9219 -2.9865 7.4163
Li 2.6911 -2.9865 2.5790
Fe 2.5434 2.9396 0.0000
Fe 1.8065 1.4720 4.9976
Fe 2.5434 0.0000 0.0000
Fe 1.8065 -1.4720 4.9976
Fe 2.5434 -2.9396 0.0000
Co -0.7369 0.0000 4.9976
O 0.0746 1.4238 6.0930
O -0.6469 0.0000 8.8467
O 1.7132 1.4721 1.1544
O 0.9055 0.0000 3.9055
O 0.0746 -1.4238 6.0930
O 1.8998 1.4721 8.8408
O 1.7132 -1.4721 1.1544
O 3.5384 1.4238 3.9023
O 2.7076 0.0000 6.0898
O 1.8998 -1.4721 8.8408
O 4.2599 0.0000 1.1486
O 3.5384 -1.4238 3.9023
```



6.
Li3FeCo4O8: optimized geometry, GGA+U.

Properties
Energy of formation: -1.5818 eV/atom
Corrected total energy (MP2020 scheme): -6.72 eV/atom

```
16
Lattice="5.0619 -2.9811 0.0000 5.0619 2.9811 0.0000 -3.4240 0.0000 4.8853" Properties=species:S:1:pos:R:3 pbc="T T T"
Li 0.0000 0.0000 0.0000
Li 2.5309 1.4906 0.0000
Li 2.5309 -1.4906 0.0000
Fe 3.3499 0.0000 2.4427
Co -1.7120 0.0000 2.4427
Co 0.8189 1.4906 2.4427
Co 0.8189 -1.4906 2.4427
Co 5.0619 0.0000 0.0000
O 0.0029 0.0000 3.5835
O 2.4714 1.4186 3.5662
O 1.7174 0.0000 1.3349
O 4.2283 1.4186 1.3191
O 2.4714 -1.4186 3.5662
O 4.9824 0.0000 3.5504
O 4.2283 -1.4186 1.3191
O 6.6968 0.0000 1.3018
```



7.
Li4Fe3CoO8: optimized geometry, GGA+U.

Properties
Energy of formation: -1.8670 eV/atom
Corrected total energy (MP2020 scheme): -6.85 eV/atom

```
32
Lattice="5.9078 0.0000 0.0000 2.9497 5.1740 0.0000 2.9228 1.6150 9.7573" Properties=species:S:1:pos:R:3 pbc="T T T"
Li 0.0000 0.0000 0.0000
Li 7.3669 2.5600 0.0096
Li 2.9308 3.3750 4.8651
Li 2.9050 0.0321 0.0345
Li 5.8377 3.4048 4.9001
Li 4.3788 0.8427 4.8901
Li 7.3228 4.2033 9.7469
Li 7.3438 0.8161 4.9104
Fe 4.3776 2.5112 7.3286
Fe 2.9195 1.7031 2.4513
Fe 4.3931 4.2886 2.4488
Fe 7.3458 4.2883 2.4505
Fe 8.8066 5.1011 7.3268
Fe 7.3365 2.5115 7.3290
Co 5.8546 5.0961 7.3296
Co 5.8732 1.6998 2.4509
O 2.8950 1.7610 6.1717
O 2.9093 3.4180 1.3365
O 1.4639 0.8306 1.3284
O 4.4286 4.2693 6.2418
O 4.3760 2.5765 3.5738
O 7.2803 5.9268 8.4138
O 5.8771 5.1612 3.5642
O 5.8649 3.2590 8.4831
O 7.2544 4.2841 6.2555
O 5.8748 3.4594 1.3178
O 5.8623 1.6355 6.2092
O 4.4564 0.8698 1.3614
O 7.2870 2.5344 3.5391
O 8.8062 3.3864 8.4485
O 8.8180 5.1174 3.5789
O 10.3640 5.9100 8.4023
```



8.
Li3FeCo4O8: optimized geometry, GGA+U.

Properties
Energy of formation: -1.5709 eV/atom
Corrected total energy (MP2020 scheme): -6.71 eV/atom

```
16
Lattice="5.8530 0.0000 0.0000 -0.0003 5.8950 0.0000 -2.9205 -2.9429 4.2725" Properties=species:S:1:pos:R:3 pbc="T T T"
Li 0.0000 0.0000 0.0000
Li -1.4604 1.4761 2.1362
Li 2.9265 0.0000 0.0000
Fe 1.4663 -1.4714 2.1362
Co -1.4602 -1.4714 2.1362
Co -0.0001 2.9475 0.0000
Co 2.9264 2.9475 0.0000
Co 1.4661 1.4761 2.1362
O 0.0263 -0.0319 2.0756
O 0.0308 2.9851 2.1217
O 1.5482 1.5678 0.0087
O 1.5379 4.2899 0.0949
O 1.3944 -1.3378 4.1776
O 1.3841 1.3843 4.2638
O 2.9015 -0.0329 2.1507
O 2.9060 2.9840 2.1969
```



9.
Li10FeCo9O20: optimized geometry, GGA+U.

Properties
Energy of formation: -1.7156 eV/atom
Corrected total energy (MP2020 scheme): -6.48 eV/atom

```
40
Lattice="5.0506 0.0000 0.0000 2.4814 7.2861 0.0000 0.8255 1.4668 9.7023" Properties=species:S:1:pos:R:3 pbc="T T T"
Li 0.8427 1.4483 2.4158
Li 2.4903 4.3834 7.2873
Li 3.3034 5.8359 2.4112
Li 2.4745 1.4681 7.2952
Li 3.3199 2.9296 2.4170
Li 5.0377 5.8233 7.2852
Li 5.8830 7.2849 2.4070
Li 5.0541 2.9171 7.2911
Li 5.8673 4.3695 2.4150
Li 7.5148 7.3047 7.2865
Fe 4.1788 4.3765 4.8511
Co 0.0000 0.0000 0.0000
Co 1.6595 2.9185 4.8447
Co 2.4870 4.3967 0.0017
Co 4.1691 7.2902 4.8493
Co 3.3465 2.9228 9.6922
Co 5.0110 5.8302 0.0100
Co 4.1884 1.4627 4.8530
Co 5.8705 4.3562 9.7006
Co 6.6981 5.8345 4.8576
O 0.8385 1.4482 5.9806
O 1.6313 2.8626 8.6116
O 1.6086 2.8815 1.0872
O 2.4362 4.3756 3.6887
O 3.3333 5.8052 5.9544
O 4.1113 7.3514 8.6110
O 4.1187 7.2999 1.0810
O 2.5133 1.4453 3.7029
O 3.3420 2.9404 5.9516
O 4.2496 4.3487 8.6256
O 4.1080 4.4042 1.0767
O 5.0156 5.8126 3.7507
O 5.8443 7.3076 5.9994
O 4.2388 1.4531 8.6213
O 4.2462 1.4016 1.0913
O 5.0242 2.9478 3.7479
O 5.9213 4.3774 6.0135
O 6.7490 5.8715 8.6151
O 6.7263 5.8903 1.0907
O 7.5191 7.3047 3.7217
```



10.
Li6Fe3Co3O16: optimized geometry, GGA+U.

Properties
Energy of formation: -1.5182 eV/atom
Corrected total energy (MP2020 scheme): -6.42 eV/atom

```
28
Lattice="4.9669 -2.8790 0.0000 4.9669 2.8790 0.0000 -0.0691 0.0000 9.8957" Properties=species:S:1:pos:R:3 pbc="T T T"
Li 0.0000 0.0000 0.0000
Li -0.0248 0.0000 3.8575
Li 3.1679 0.0000 9.8724
Li 3.2263 0.0000 4.9101
Li 6.5694 0.0000 4.9361
Li 6.5678 0.0000 8.8028
Fe 4.1011 1.4579 7.0654
Fe 4.9693 0.0000 2.1187
Fe 4.1011 -1.4579 7.0654
Co 1.5859 0.0000 7.0537
Co 7.4223 1.4306 2.1107
Co 7.4223 -1.4306 2.1107
O -0.0014 0.0000 5.9511
O 2.4723 1.3266 6.0596
O 4.0418 1.3414 1.1183
O 1.7486 0.0000 1.1517
O 5.6818 1.5880 8.0835
O 3.1993 0.0000 8.0661
O 3.2519 0.0000 3.0913
O 5.8768 1.3076 3.1416
O 2.4723 -1.3266 6.0596
O 4.7991 0.0000 6.0207
O 4.0418 -1.3414 1.1183
O 6.6365 0.0000 1.0691
O 8.0983 0.0000 3.0923
O 5.8768 -1.3076 3.1416
O 8.3864 0.0000 8.1240
O 5.6818 -1.5880 8.0835
```



11.
Li4Fe5Co3O16: optimized geometry, GGA+U.

Properties
Energy of formation: -1.5929 eV/atom
Corrected total energy (MP2020 scheme): -6.97 eV/atom

```
28
Lattice="5.0817 -2.9328 0.0000 5.0817 2.9328 0.0000 -0.1161 0.0000 9.5598" Properties=species:S:1:pos:R:3 pbc="T T T"
Li 0.0000 0.0000 0.0000
Li -0.0483 0.0000 4.7587
Li 3.4267 0.0000 5.7103
Li 6.8673 0.0000 1.0037
Fe 1.7640 0.0000 2.6860
Fe 3.4205 0.0000 0.0545
Fe 5.9240 1.4351 7.4438
Fe 6.7642 0.0000 4.8470
Fe 5.9240 -1.4351 7.4438
Co 4.2583 1.4382 2.7066
Co 4.2583 -1.4382 2.7066
Co 8.4032 0.0000 7.4676
O 10.0820 0.0000 6.5703
O 2.7555 1.3260 1.5651
O 4.1715 1.4911 8.5560
O 1.5899 0.0000 8.5955
O 5.8655 1.4906 3.7385
O 3.5023 0.0000 3.7113
O 4.9184 0.0000 1.6403
O 2.7555 -1.3260 1.5651
O 5.2726 0.0000 6.2360
O 7.5491 1.2912 6.2299
O 4.1715 -1.4911 8.5560
O 6.7842 0.0000 8.5019
O 5.8655 -1.4906 3.7385
O 8.5627 0.0000 3.6655
O 7.5491 -1.2912 6.2299
O 10.1096 0.0000 1.8000
```



12.
Li4Fe9CoO20: optimized geometry, GGA+U.

Properties
Energy of formation: -1.5196 eV/atom
Corrected total energy (MP2020 scheme): -7.11 eV/atom

```
34
Lattice="5.9531 0.0000 0.0000 0.0000 2.9331 0.0000 -2.9462 0.0000 21.0450" Properties=species:S:1:pos:R:3 pbc="T T T"
Li -0.0211 0.0000 8.4294
Li -1.4202 1.4665 18.7942
Li 4.4271 1.4665 2.2508
Li 3.0280 0.0000 12.6156
Fe -1.3388 1.4665 14.8474
Fe 0.2104 0.0000 4.2588
Fe -0.0237 0.0000 12.5431
Fe 1.5002 1.4665 2.0340
Fe 2.9765 0.0000 0.0000
Fe 1.5067 1.4665 19.0110
Fe 3.0306 0.0000 8.5018
Fe 2.7964 0.0000 16.7862
Fe 4.3457 1.4665 6.1976
Co 1.5034 1.4665 10.5225
O -1.3418 1.4665 12.7204
O 0.2332 0.0000 2.1379
O -1.8206 1.4665 16.8468
O -0.2775 0.0000 6.2699
O 1.6226 1.4665 0.1404
O 0.2730 0.0000 10.5132
O -0.0928 0.0000 14.6673
O 1.5014 1.4665 3.9210
O 0.1611 0.0000 19.0517
O 1.6152 1.4665 8.6454
O 2.8457 0.0000 1.9932
O 1.3917 1.4665 12.3996
O 1.5055 1.4665 17.1240
O 3.0997 0.0000 6.3777
O 2.7339 0.0000 10.5317
O 1.3843 1.4665 20.9046
O 3.2844 0.0000 14.7750
O 4.8275 1.4665 4.1981
O 2.7737 0.0000 18.9071
O 4.3486 1.4665 8.3245
```